[1]
# Al PBE-GGA optimized geometry
# **Relative energy among the computed polymorphs**: 0.114 eV per formula unit
# **ρ**: 2.500 g/cm3
# **Total magnetization**: 0.00 μB/f.u.
data_Al
_symmetry_space_group_name_H-M 'P 1'
_symmetry_Int_Tables_number 1
_cell_length_a 11.983
_cell_length_b 12.275
_cell_length_c 12.335
_cell_angle_alpha 92.57
_cell_angle_beta 94.33
_cell_angle_gamma 97.27
loop_
_symmetry_equiv_pos_as_xyz
'x,y,z'
loop_
_atom_site_label
_atom_site_type_symbol
_atom_site_fract_x
_atom_site_fract_y
_atom_site_fract_z
Al1 Al 0.000 0.000 0.000
Al2 Al 0.000 0.611 0.365
Al3 Al 0.008 0.422 0.519
Al4 Al 0.011 0.044 0.672
Al5 Al 0.035 0.583 0.947
Al6 Al 0.047 0.173 0.172
Al7 Al 0.049 0.410 0.288
Al8 Al 0.058 0.370 0.040
Al9 Al 0.068 0.055 0.382
Al10 Al 0.071 0.725 0.166
Al11 Al 0.094 0.839 0.362
Al12 Al 0.103 0.780 0.727
Al13 Al 0.109 0.816 0.963
Al14 Al 0.123 0.189 0.934
Al15 Al 0.125 0.953 0.178
Al16 Al 0.148 0.273 0.416
Al17 Al 0.150 0.990 0.836
Al18 Al 0.151 0.322 0.656
Al19 Al 0.160 0.942 0.562
Al20 Al 0.164 0.556 0.667
Al21 Al 0.165 0.437 0.854
Al22 Al 0.172 0.723 0.526
Al23 Al 0.194 0.543 0.151
Al24 Al 0.217 0.513 0.453
Al25 Al 0.231 0.328 0.190
Al26 Al 0.235 0.673 0.865
Al27 Al 0.243 0.132 0.690
Al28 Al 0.250 0.696 0.321
Al29 Al 0.265 0.134 0.267
Al30 Al 0.279 0.756 0.095
Al31 Al 0.307 0.092 0.478
Al32 Al 0.310 0.341 0.985
Al33 Al 0.327 0.117 0.964
Al34 Al 0.328 0.892 0.912
Al35 Al 0.340 0.895 0.687
Al36 Al 0.341 0.304 0.554
Al37 Al 0.355 0.981 0.132
Al38 Al 0.359 0.871 0.462
Al39 Al 0.364 0.574 0.011
Al40 Al 0.371 0.404 0.367
Al41 Al 0.376 0.543 0.776
Al42 Al 0.377 0.660 0.591
Al43 Al 0.386 0.322 0.775
Al44 Al 0.440 0.604 0.286
Al45 Al 0.440 0.828 0.261
Al46 Al 0.449 0.418 0.160
Al47 Al 0.455 0.105 0.778
Al48 Al 0.464 0.195 0.158
Al49 Al 0.466 0.051 0.335
Al50 Al 0.467 0.767 0.811
Al51 Al 0.494 0.801 0.040
Al52 Al 0.504 0.474 0.612
Al53 Al 0.510 0.256 0.425
Al54 Al 0.517 0.042 0.574
Al55 Al 0.521 0.258 0.952
Al56 Al 0.530 0.018 0.977
Al57 Al 0.531 0.476 0.923
Al58 Al 0.550 0.828 0.612
Al59 Al 0.566 0.260 0.642
Al60 Al 0.574 0.646 0.487
Al61 Al 0.577 0.610 0.114
Al62 Al 0.605 0.456 0.361
Al63 Al 0.609 0.918 0.417
Al64 Al 0.620 0.969 0.782
Al65 Al 0.622 0.631 0.778
Al66 Al 0.625 0.991 0.194
Al67 Al 0.647 0.742 0.298
Al68 Al 0.661 0.396 0.098
Al69 Al 0.669 0.235 0.278
Al70 Al 0.691 0.429 0.777
Al71 Al 0.694 0.168 0.068
Al72 Al 0.695 0.215 0.835
Al73 Al 0.709 0.147 0.474
Al74 Al 0.711 0.804 0.101
Al75 Al 0.734 0.510 0.580
Al76 Al 0.748 0.588 0.985
Al77 Al 0.756 0.749 0.642
Al78 Al 0.762 0.968 0.599
Al79 Al 0.765 0.965 0.965
Al80 Al 0.769 0.559 0.243
Al81 Al 0.801 0.671 0.439
Al82 Al 0.802 0.307 0.629
Al83 Al 0.816 0.400 0.397
Al84 Al 0.835 0.967 0.391
Al85 Al 0.836 0.073 0.787
Al86 Al 0.846 0.398 0.942
Al87 Al 0.859 0.321 0.164
Al88 Al 0.861 0.654 0.808
Al89 Al 0.868 0.000 0.177
Al90 Al 0.881 0.784 0.257
Al91 Al 0.889 0.185 0.327
Al92 Al 0.895 0.186 0.985
Al93 Al 0.898 0.774 0.014
Al94 Al 0.917 0.874 0.801
Al95 Al 0.940 0.533 0.130
Al96 Al 0.943 0.849 0.543
Al97 Al 0.949 0.472 0.746
Al98 Al 0.956 0.630 0.596
Al99 Al 0.957 0.193 0.539
Al100 Al 0.974 0.262 0.786

=====

[2]
# CeAl PBE-GGA optimized geometry
# **ρ**: 5.901 g/cm3
data_CeAl
_symmetry_space_group_name_H-M 'C m c m'
_symmetry_Int_Tables_number 63
_symmetry_space_group_name_Hall '-C 2c 2'
_cell_length_a 9.359
_cell_length_b 7.481
_cell_length_c 5.372
_cell_angle_alpha 90.00
_cell_angle_beta 90.00
_cell_angle_gamma 90.00
loop_
_atom_site_label
_atom_site_type_symbol
_atom_site_fract_x
_atom_site_fract_y
_atom_site_fract_z
Ce1 Ce 0.191 0.177 0.250
Al1 Al 0.000 0.174 0.750
Al2 Al 0.000 0.500 0.000

=====

[3]
# La3Os2O10 PBE-GGA optimized geometry
# **ρ**: 7.869 g/cm3
data_La3Os2O10
_symmetry_space_group_name_H-M 'C 1 2/m 1'
_symmetry_Int_Tables_number 12
_cell_length_a 7.944
_cell_length_b 8.010
_cell_length_c 7.034
_cell_angle_alpha 90.00
_cell_angle_beta 115.50
_cell_angle_gamma 90.00
loop_
_symmetry_equiv_pos_as_xyz
'x,y,z'
'-x,-y,-z'
'-x,y,-z'
'x,-y,z'
'x+1/2,y+1/2,z'
'-x+1/2,-y+1/2,-z'
'-x+1/2,y+1/2,-z'
'x+1/2,-y+1/2,z'
loop_
_atom_site_label
_atom_site_type_symbol
_atom_site_fract_x
_atom_site_fract_y
_atom_site_fract_z
La1 La 0.000 0.000 0.000
La2 La 0.000 0.256 0.500
Os1 Os 0.131 0.500 0.176
O1 O 0.097 0.000 0.717
O2 O 0.138 0.261 0.211
O3 O 0.144 0.500 0.898
O4 O 0.170 0.500 0.473

=====

no.,formation energy from the elements (eV/atom)
1,0.11
2,-0.33
3,-2.78